# 1
The following is a DFT calculation (PBE+U) of crystalline Sr2AlGaCo2O7 at its relaxed geometry.

Structure (POSCAR):
```
Sr2AlGaCo2O7
1.0
-4.0030 -2.5952 -2.6006
1.6479 -4.8641 2.3232
-5.5795 5.5268 8.7555
Sr Al Ga Co O
4 2 2 4 14
direct
0.1500 0.1727 0.2991
0.8515 0.8272 0.7015
0.6510 0.6224 0.2999
0.3503 0.3761 0.7013
0.5033 0.4995 0.0015
0.0034 0.0005 0.0012
0.2185 0.8219 0.5011
0.7180 0.1775 0.4985
0.4384 0.9433 0.8691
0.0714 0.5740 0.1328
0.9391 0.4287 0.8732
0.5713 0.0562 0.1347
0.8730 0.2273 0.1072
0.8724 0.8766 0.5000
0.3734 0.3781 0.1078
0.8576 0.3763 0.6505
0.6145 0.2764 0.8850
0.1134 0.1096 0.8851
0.3731 0.1226 0.5003
0.2672 0.6201 0.8946
0.7683 0.7726 0.8945
0.3550 0.7855 0.6565
0.2011 0.6257 0.3471
0.6973 0.2120 0.3427
0.7290 0.7238 0.1176
0.2290 0.8909 0.1169
```

Values from the calculation:
VASP energy ... -6.2985 eV/atom
Energy relative to the elements ... -2.382 eV per atom
E (MP2020) ... -6.92 eV/atom
V ... 13.1 A^3/atom
Size of the total moment ... 5.00 μB per formula unit



# 2
The following is a DFT calculation (PBE+U) of crystalline Sr2AlGaCo2O7 at its relaxed geometry.

Structure (POSCAR):
```
Sr2AlGaCo2O7
1.0
5.4098 0.0000 0.0000
-0.0224 5.6238 0.0000
-2.6875 -2.7763 11.1663
Sr Al Ga Co O
4 2 2 4 14
direct
0.1493 0.1707 0.2988
0.8508 0.8270 0.7006
0.6499 0.6251 0.2998
0.3490 0.3714 0.6994
0.5082 0.4987 0.0033
0.0057 0.0044 0.0019
0.2160 0.8202 0.5004
0.7159 0.1761 0.4975
0.4393 0.9436 0.8695
0.0681 0.5680 0.1268
0.9468 0.4413 0.8849
0.5710 0.0567 0.1346
0.8734 0.2282 0.1066
0.8675 0.8722 0.4998
0.3759 0.3752 0.1072
0.8524 0.3733 0.6476
0.6257 0.2835 0.8861
0.1200 0.1068 0.8853
0.3674 0.1237 0.4996
0.2647 0.6116 0.8955
0.7673 0.7784 0.8958
0.3530 0.7850 0.6562
0.1993 0.6277 0.3473
0.6964 0.2122 0.3427
0.7289 0.7258 0.1173
0.2287 0.8906 0.1153
```

Values from the calculation:
VASP energy ... -6.2977 eV/atom
Energy relative to the elements ... -2.381 eV per atom
E (MP2020) ... -6.92 eV/atom
V ... 13.1 A^3/atom
Size of the total moment ... 5.00 μB per formula unit



What did the second record say?
The following is a DFT calculation (PBE+U) of crystalline Sr2AlGaCo2O7 at its relaxed geometry.

Structure (POSCAR):
```
Sr2AlGaCo2O7
1.0
5.4098 0.0000 0.0000
-0.0224 5.6238 0.0000
-2.6875 -2.7763 11.1663
Sr Al Ga Co O
4 2 2 4 14
direct
0.1493 0.1707 0.2988
0.8508 0.8270 0.7006
0.6499 0.6251 0.2998
0.3490 0.3714 0.6994
0.5082 0.4987 0.0033
0.0057 0.0044 0.0019
0.2160 0.8202 0.5004
0.7159 0.1761 0.4975
0.4393 0.9436 0.8695
0.0681 0.5680 0.1268
0.9468 0.4413 0.8849
0.5710 0.0567 0.1346
0.8734 0.2282 0.1066
0.8675 0.8722 0.4998
0.3759 0.3752 0.1072
0.8524 0.3733 0.6476
0.6257 0.2835 0.8861
0.1200 0.1068 0.8853
0.3674 0.1237 0.4996
0.2647 0.6116 0.8955
0.7673 0.7784 0.8958
0.3530 0.7850 0.6562
0.1993 0.6277 0.3473
0.6964 0.2122 0.3427
0.7289 0.7258 0.1173
0.2287 0.8906 0.1153
```

Values from the calculation:
VASP energy ... -6.2977 eV/atom
Energy relative to the elements ... -2.381 eV per atom
E (MP2020) ... -6.92 eV/atom
V ... 13.1 A^3/atom
Size of the total moment ... 5.00 μB per formula unit